[1]
A plane-wave DFT calculation with GGA+U was carried out for a relaxed NaCoPO4 crystal.

Cell and atoms, written as POSCAR:
```
NaCoPO4
1.0
-6.921 7.615 4.289
-3.541 -4.276 1.879
4.711 -0.693 8.833
Na Co P O
8 8 8 32
Cartesian
-1.875 3.844 8.463
-3.875 -1.199 6.538
1.687 -1.056 9.046
-2.004 0.761 5.457
-3.747 1.885 9.544
-5.863 5.987 5.058
-7.438 3.701 5.955
0.113 -3.342 9.943
-5.532 3.249 3.327
-0.219 -0.604 11.674
0.140 0.140 3.007
0.482 2.009 8.671
-4.949 4.853 8.841
-0.802 -2.208 6.159
-6.233 0.637 6.330
-5.891 2.505 11.994
-3.200 0.472 12.449
1.372 0.101 5.996
-4.041 2.850 6.241
-2.551 2.173 2.552
-1.710 -0.204 8.760
-3.554 4.559 11.815
-7.123 2.544 9.004
-2.197 -1.913 3.186
-2.407 3.786 12.524
-5.667 -0.611 4.678
-2.621 3.172 5.649
-3.923 1.857 3.213
-0.688 -3.845 7.468
1.170 0.611 7.429
-6.189 1.833 10.026
-6.856 4.077 9.028
-2.104 -1.507 4.691
-4.250 1.300 6.280
0.438 0.812 4.975
-0.625 -0.889 9.651
-3.647 4.152 10.309
-0.083 3.256 10.323
-3.344 -1.140 2.477
-6.920 2.034 7.571
-4.898 4.258 12.557
-5.126 3.535 5.350
-4.095 3.398 7.694
-7.811 1.373 5.156
-1.500 1.346 8.721
-5.063 6.490 7.533
2.060 1.272 9.845
-2.513 -3.451 3.093
-1.656 -0.753 7.307
-3.130 -0.527 9.352
-0.853 -1.612 2.444
-1.481 1.282 3.196
1.105 -1.431 5.973
-3.238 6.096 11.907
-1.827 0.788 11.788
-4.270 1.363 11.805
```

The relative energy among the computed polymorphs is 0.030 eV per atom. For the spin magnetization, the calculation gives 3.0 μB/f.u.

***

[2]
A plane-wave DFT calculation with GGA+U was carried out for a relaxed NaCo2P2O9 crystal.

Cell and atoms, written as POSCAR:
```
NaCo2P2O9
1.0
-2.579 5.696 -0.262
-3.194 -1.748 -6.552
-11.440 -4.863 6.874
Na Co P O
4 8 8 36
Cartesian
-13.688 -1.072 -0.676
-7.072 1.850 -2.274
-10.141 -2.765 2.334
-3.525 0.157 0.736
-13.062 -0.598 3.479
-4.151 -0.318 -3.419
-10.545 -3.118 -1.364
-6.668 2.203 1.424
-1.289 2.848 -0.131
-8.607 -0.458 0.030
-7.317 -3.306 0.161
0.000 0.000 0.000
-12.504 -3.759 4.003
-4.709 2.843 -3.943
-11.138 0.023 -1.960
-6.075 -0.939 2.020
-11.053 0.243 1.969
-4.431 3.168 0.382
-12.783 -4.084 -0.322
-6.161 -1.158 -1.909
-6.324 -2.600 -1.349
-9.844 -0.624 1.516
-4.196 4.648 -0.032
-14.062 -3.256 -0.014
-10.889 1.684 1.409
-7.369 -0.292 -1.455
-13.017 -5.564 0.092
-3.151 2.340 0.074
-7.233 -1.505 1.112
-9.980 0.590 -1.052
-4.760 2.748 -5.516
-12.453 -3.663 5.576
-13.255 -0.591 5.523
-3.958 -0.325 -5.463
-8.898 -2.330 -0.426
-8.315 1.414 0.486
-11.182 0.255 3.517
-6.031 -1.171 -3.457
-11.544 -3.489 0.405
-5.669 2.574 -0.345
-5.805 0.507 1.529
-12.418 0.808 -1.571
-4.960 1.408 -3.412
-11.244 -4.554 3.575
-11.408 -1.422 -1.468
-4.795 -1.724 1.631
-12.253 -2.323 3.472
-5.969 3.638 -3.515
-14.862 -1.415 3.418
-9.176 -2.218 4.730
-4.804 -0.524 -1.471
-12.409 -0.392 1.531
-7.607 1.856 3.130
-9.606 -2.772 -3.070
-2.351 0.500 -3.358
-8.037 1.303 -4.670
```

The value obtained for the total energy is -0.469 Ry/atom. For the spin magnetization, the calculation gives 1.0 μB/f.u.

***

[3]
A plane-wave DFT calculation with GGA+U was carried out for a relaxed NaCoPO4 crystal.

Cell and atoms, written as POSCAR:
```
NaCoPO4
1.0
5.005 0.000 0.000
0.000 6.279 0.000
0.000 0.000 10.292
Na Co P O
4 4 4 16
Cartesian
0.000 3.140 0.000
0.000 0.000 0.000
2.502 0.000 5.146
2.502 3.140 5.146
2.454 4.709 2.258
4.956 1.570 2.888
0.049 4.709 7.404
2.551 1.570 8.034
2.170 1.570 1.093
4.672 4.709 4.053
0.333 1.570 6.239
2.835 4.709 9.199
3.315 4.709 0.393
3.710 1.570 1.173
1.496 0.339 1.807
1.496 2.801 1.807
3.999 3.478 3.339
3.999 5.940 3.339
1.207 4.709 3.974
0.813 1.570 4.753
4.192 4.709 5.539
3.797 1.570 6.319
1.006 0.339 6.953
1.006 2.801 6.953
3.509 3.478 8.485
3.509 5.940 8.485
1.295 4.709 9.120
1.690 1.570 9.899
```

The relative energy among the computed polymorphs is 0.075 eV per atom. For the spin magnetization, the calculation gives 3.0 μB/f.u.

***

[4]
A plane-wave DFT calculation with GGA+U was carried out for a relaxed NaCo2P3O10 crystal.

Cell and atoms, written as POSCAR:
```
NaCo2P3O10
1.0
-3.629 -7.730 1.299
2.969 -0.790 3.596
-5.158 3.536 6.633
Na Co P O
2 4 6 20
Cartesian
0.000 0.000 0.000
-1.815 -3.865 0.649
-2.298 -6.730 6.904
-0.997 -3.959 6.438
-4.820 -1.025 5.090
-3.519 1.746 4.624
-4.959 -3.435 8.789
-1.470 -0.787 5.572
-3.882 0.696 7.658
-1.936 -5.680 3.871
-4.348 -4.198 5.956
-0.859 -1.550 2.740
-4.918 -4.777 9.477
-3.836 -2.472 9.090
-2.541 0.159 8.212
-1.644 -1.985 6.526
-0.561 0.322 6.139
-3.007 -4.742 6.464
-2.108 -6.872 4.799
-1.034 -4.583 4.414
-6.380 -2.713 9.112
-0.661 -1.379 4.309
-5.157 -3.605 7.220
0.562 -2.271 2.416
-4.784 -0.401 7.114
-3.709 1.888 6.729
-2.811 -0.242 5.065
-5.257 -5.306 5.390
-4.174 -2.999 5.002
-3.277 -5.144 3.317
-1.982 -2.512 2.439
-0.900 -0.207 2.051
```

The value obtained for the total energy is -0.501 Ry/atom. For the spin magnetization, the calculation gives 6.0 μB/f.u.

***

[5]
A plane-wave DFT calculation with GGA+U was carried out for a relaxed NaCoPO4 crystal.

Cell and atoms, written as POSCAR:
```
NaCoPO4
1.0
3.879 1.741 9.341
-9.629 2.817 -2.165
-7.946 -21.539 7.313
Na Co P O
24 24 24 96
Cartesian
-10.186 -8.283 11.266
-4.602 -15.050 10.050
-6.784 -3.935 1.185
0.920 -0.815 5.514
-5.842 -6.845 6.867
-5.310 -3.042 5.441
-8.451 -14.115 9.108
-10.563 -17.478 10.115
-12.401 -18.013 6.078
-11.840 -11.794 12.359
-3.778 -18.039 15.958
-7.773 -10.330 7.276
-3.242 0.616 4.745
-0.946 -1.747 0.863
-3.911 -6.059 10.819
-9.061 -1.843 4.410
-12.027 -9.149 6.592
-14.834 -16.331 8.876
-12.652 -6.351 1.047
-6.972 -13.209 13.360
-1.576 -8.005 8.111
-1.874 1.231 8.530
-1.940 -5.416 2.208
-9.238 -11.209 3.581
-12.877 -12.094 4.573
-4.730 -0.353 8.044
-5.783 -11.938 10.182
-1.845 -3.347 4.711
-11.683 -15.133 7.590
-5.667 3.250 4.676
-5.160 -6.347 3.424
-7.896 -3.933 7.292
-11.196 -11.858 9.175
-3.195 0.529 1.427
-7.197 -8.554 10.021
-2.035 -9.288 11.119
-7.887 2.538 -0.103
-10.114 -14.909 12.516
-8.513 -19.052 12.724
-6.329 -0.750 2.849
-4.309 -10.146 6.390
-9.938 -5.555 2.645
-8.896 -7.995 5.182
-7.323 -17.176 8.599
-5.752 -16.829 13.679
0.253 -1.982 8.930
-3.077 -4.734 7.878
-7.840 -13.576 5.409
-2.618 -6.340 5.455
-0.658 -4.865 9.784
-5.502 -12.915 7.273
-8.813 -0.250 1.121
-5.501 -3.269 9.057
1.230 1.982 7.688
-6.229 -9.195 4.209
-14.035 -14.819 5.623
-7.846 -4.970 4.449
-8.583 -11.299 10.829
-6.543 0.410 5.697
-4.491 -9.029 9.370
-3.891 -2.370 2.535
-2.240 -1.692 6.964
-12.505 -14.508 10.347
-7.405 -16.225 11.471
-11.055 -8.472 3.240
-5.462 2.193 1.675
-3.198 -12.166 11.818
-11.113 -17.669 13.635
-8.524 -19.881 9.771
-8.785 -6.894 8.044
-10.362 -12.324 6.518
-9.159 -16.326 6.319
-13.901 -18.744 7.641
-13.927 -15.061 10.647
-15.524 -15.197 5.365
0.432 1.523 8.941
-6.045 -3.350 7.605
-8.684 -18.492 9.092
-6.254 2.908 2.806
-13.917 -13.276 5.772
-11.869 -19.162 9.130
-2.268 -11.226 11.003
-1.208 -1.765 5.801
-3.100 -2.943 1.325
-11.726 -17.657 12.203
-1.163 0.581 1.508
-8.844 -12.087 6.281
-3.482 -8.229 10.240
-6.876 -18.012 14.848
-3.023 -3.037 6.891
0.615 1.280 6.438
-5.737 -11.456 6.789
-1.337 -3.974 10.867
-8.885 -6.058 4.853
2.732 1.610 7.841
-9.989 -7.560 2.557
-8.491 -15.907 7.657
-8.285 -0.720 2.511
-7.315 -17.708 11.940
-6.369 -5.396 4.685
-2.317 -13.216 12.543
-4.168 -12.890 10.833
-8.577 -17.678 5.830
-1.891 -7.672 5.795
-5.557 -10.477 3.635
-5.221 -10.059 10.283
-10.707 -16.450 6.471
0.130 -3.954 8.801
-8.427 -8.091 7.109
-1.711 -5.683 8.976
-1.377 1.661 3.798
-5.681 0.651 1.634
-2.212 2.654 6.524
-8.824 1.303 1.090
-7.915 1.096 5.421
-4.892 -1.858 9.283
-3.676 -9.682 8.217
-6.367 -0.878 4.838
-12.647 -13.207 9.498
-7.013 -20.144 10.013
-6.469 0.058 7.212
-8.112 -10.315 9.715
-11.755 -14.204 11.675
-5.402 1.406 5.347
-11.735 -15.580 9.515
-7.908 -0.764 -0.032
-8.146 -4.664 2.953
-7.706 -5.790 7.876
-10.268 -0.751 0.923
-3.979 -11.314 12.856
-10.172 -6.292 7.686
-10.738 -8.577 4.763
-6.227 -13.116 8.637
-3.291 -6.437 4.056
0.335 -5.829 10.498
-9.555 -12.335 10.196
-4.334 3.810 7.352
-6.656 -3.469 10.073
-10.979 -11.128 7.300
-9.297 -10.519 11.969
-13.196 -15.274 4.392
-6.690 -15.407 12.585
-1.570 -5.185 5.471
-5.425 -2.405 2.255
-5.456 -8.771 5.494
-10.527 -13.550 7.464
-8.859 -15.737 11.214
-8.096 -3.706 5.318
-3.969 -13.165 7.400
-6.130 -8.052 3.160
-6.071 -13.905 6.213
-5.616 -8.089 8.846
-3.686 -6.076 6.561
-8.849 -15.245 5.248
-4.394 -4.339 9.311
-7.347 -12.072 11.384
-3.614 -3.219 3.808
-12.481 -7.892 3.016
-8.772 -7.369 9.520
-7.733 -9.468 4.514
-3.241 -0.527 6.725
-13.532 -15.491 6.936
-10.307 -16.358 13.851
-6.638 -16.088 10.126
-10.953 -9.897 2.626
-3.456 -0.898 2.816
-11.013 -12.520 5.119
-1.566 -1.434 8.342
```

The relative energy among the computed polymorphs is 0.038 eV per atom. For the spin magnetization, the calculation gives 3.0 μB/f.u.

***

[6]
A plane-wave DFT calculation with GGA+U was carried out for a relaxed Na2ZrCoP4O14 crystal.

Cell and atoms, written as POSCAR:
```
Na2ZrCoP4O14
1.0
-6.092 -0.418 -2.558
1.659 -2.711 -5.820
-0.145 -6.975 0.025
Na Zr Co P O
2 1 1 4 14
Cartesian
-1.404 -3.448 -1.671
-2.143 -2.280 -4.754
1.583 -2.694 -5.699
-2.991 -5.643 -6.298
-0.283 -5.120 -4.464
-5.134 -7.908 -5.577
-2.939 -7.312 -1.926
-4.131 -4.875 -3.278
-3.062 -6.052 -2.898
-0.985 -4.011 -3.758
-3.686 -7.446 -5.626
-0.491 -9.496 -6.500
-3.959 -3.760 -2.269
-2.589 -3.397 -7.288
0.701 -8.626 -4.027
-5.531 -5.576 -3.147
-0.028 -6.286 -3.372
1.171 -4.681 -4.930
-2.096 -1.438 -2.662
-3.801 -4.512 -4.717
-1.023 -5.761 -5.636
-5.427 -1.341 -4.183
```

The value obtained for the total energy is -0.528 Ry/atom. For the spin magnetization, the calculation gives 3.0 μB/f.u.

***

[7]
A plane-wave DFT calculation with GGA+U was carried out for a relaxed RbNa7Co2O6 crystal.

Cell and atoms, written as POSCAR:
```
RbNa7Co2O6
1.0
2.218 5.440 0.000
-2.218 5.440 0.000
0.000 0.254 10.811
Rb Na Co O
1 7 2 6
Cartesian
0.000 0.127 5.406
0.000 9.367 2.385
0.000 8.061 6.541
0.000 2.553 1.011
0.000 3.074 4.270
0.000 1.768 8.427
0.000 8.582 9.800
0.000 5.440 0.000
0.000 6.421 2.812
0.000 4.713 7.999
0.000 6.536 8.322
0.000 7.394 1.141
0.000 3.741 9.670
0.000 7.561 4.259
0.000 4.599 2.489
0.000 3.574 6.553
```

The value obtained for the total energy is -0.323 Ry/atom. For the spin magnetization, the calculation gives 6.0 μB/f.u.